No. 1
Entry from the Materials Project: BaTe after structural relaxation (GGA-PBE).

Calculated values
Calculated formation energy = -1.84 eV/atom
VASP energy = -0.306 Ry per atom

a b c (Å): 4.262 4.262 4.262
angles (deg): 90.00 90.00 90.00
Fractional positions:
Ba 0.000 0.000 0.000
Te 0.500 0.500 0.500

---

No. 2
Entry from the Materials Project: BaThTe4 after structural relaxation (GGA-PBE).

Calculated values
Calculated formation energy = -1.52 eV/atom
VASP energy = -0.359 Ry per atom

a b c (Å): 8.792 8.792 10.509
angles (deg): 125.90 125.90 44.15
Fractional positions:
Ba 0.097 0.097 0.303
Ba 0.903 0.903 0.697
Th 0.358 0.358 0.218
Th 0.642 0.642 0.782
Te 0.102 0.102 0.653
Te 0.107 0.607 0.955
Te 0.389 0.389 0.553
Te 0.393 0.893 0.045
Te 0.607 0.107 0.955
Te 0.611 0.611 0.447
Te 0.893 0.393 0.045
Te 0.898 0.898 0.347

---

No. 3
Entry from the Materials Project: BaUTe6 after structural relaxation (GGA-PBE).

Calculated values
Calculated formation energy = -1.04 eV/atom
VASP energy = -0.348 Ry per atom

a b c (Å): 9.019 15.281 8.163
angles (deg): 90.00 91.52 90.00
Fractional positions:
Ba 0.236 0.090 0.270
Ba 0.236 0.410 0.770
Ba 0.764 0.590 0.230
Ba 0.764 0.910 0.730
U 0.274 0.749 0.608
U 0.274 0.751 0.108
U 0.726 0.249 0.892
U 0.726 0.251 0.392
Te 0.006 0.736 0.852
Te 0.006 0.764 0.352
Te 0.030 0.601 0.609
Te 0.030 0.899 0.109
Te 0.173 0.553 0.112
Te 0.173 0.947 0.612
Te 0.389 0.606 0.363
Te 0.389 0.894 0.863
Te 0.390 0.194 0.879
Te 0.390 0.306 0.379
Te 0.421 0.617 0.868
Te 0.421 0.883 0.368
Te 0.579 0.117 0.632
Te 0.579 0.383 0.132
Te 0.610 0.694 0.621
Te 0.610 0.806 0.121
Te 0.611 0.106 0.137
Te 0.611 0.394 0.637
Te 0.827 0.053 0.388
Te 0.827 0.447 0.888
Te 0.970 0.101 0.891
Te 0.970 0.399 0.391
Te 0.994 0.236 0.648
Te 0.994 0.264 0.148

---

No. 4
Entry from the Materials Project: BaY2Te4 after structural relaxation (GGA-PBE).

Calculated values
Calculated formation energy = -1.80 eV/atom
VASP energy = -0.403 Ry per atom

a b c (Å): 13.830 4.493 16.332
angles (deg): 90.00 90.00 90.00
Fractional positions:
Ba 0.239 0.250 0.170
Ba 0.261 0.750 0.670
Ba 0.739 0.250 0.330
Ba 0.761 0.750 0.830
Y 0.059 0.250 0.390
Y 0.081 0.250 0.904
Y 0.419 0.750 0.404
Y 0.441 0.750 0.890
Y 0.559 0.250 0.110
Y 0.581 0.250 0.596
Y 0.919 0.750 0.096
Y 0.941 0.750 0.610
Te 0.028 0.750 0.784
Te 0.090 0.250 0.576
Te 0.127 0.750 0.029
Te 0.205 0.750 0.339
Te 0.295 0.250 0.839
Te 0.373 0.250 0.529
Te 0.410 0.750 0.076
Te 0.472 0.250 0.284
Te 0.528 0.750 0.716
Te 0.590 0.250 0.924
Te 0.627 0.750 0.471
Te 0.705 0.750 0.161
Te 0.795 0.250 0.661
Te 0.873 0.250 0.971
Te 0.910 0.750 0.424
Te 0.972 0.250 0.216

---

No. 5
Entry from the Materials Project: Ba3Th after structural relaxation (GGA-PBE).

Calculated values
Calculated formation energy = 0.42 eV/atom
VASP energy = -0.211 Ry per atom

a b c (Å): 8.444 8.444 6.526
angles (deg): 90.00 90.00 120.00
Fractional positions:
Ba 0.176 0.352 0.250
Ba 0.176 0.824 0.250
Ba 0.352 0.176 0.750
Ba 0.648 0.824 0.250
Ba 0.824 0.176 0.750
Ba 0.824 0.648 0.750
Th 0.333 0.667 0.750
Th 0.667 0.333 0.250

---

No. 6
Entry from the Materials Project: Ba3Th after structural relaxation (GGA-PBE).

Calculated values
Calculated formation energy = 0.42 eV/atom
VASP energy = -0.211 Ry per atom

a b c (Å): 5.789 5.789 5.789
angles (deg): 90.00 90.00 90.00
Fractional positions:
Ba 0.000 0.000 0.500
Ba 0.000 0.500 0.000
Ba 0.500 0.000 0.000
Th 0.500 0.500 0.500

---

No. 7
Entry from the Materials Project: BaTl2 after structural relaxation (GGA-PBE).

Calculated values
Calculated formation energy = -0.39 eV/atom
VASP energy = -0.192 Ry per atom

a b c (Å): 5.377 5.377 8.679
angles (deg): 90.00 90.00 120.00
Fractional positions:
Ba 0.000 0.000 0.250
Ba 0.000 0.000 0.750
Tl 0.333 0.667 0.046
Tl 0.333 0.667 0.454
Tl 0.667 0.333 0.546
Tl 0.667 0.333 0.954

---

No. 8
Entry from the Materials Project: BaTl3 after structural relaxation (GGA-PBE).

Calculated values
Calculated formation energy = -0.30 eV/atom
VASP energy = -0.187 Ry per atom

a b c (Å): 7.795 7.795 5.269
angles (deg): 90.00 90.00 120.00
Fractional positions:
Ba 0.333 0.667 0.250
Ba 0.667 0.333 0.750
Tl 0.150 0.300 0.750
Tl 0.150 0.850 0.750
Tl 0.300 0.150 0.250
Tl 0.700 0.850 0.750
Tl 0.850 0.150 0.250
Tl 0.850 0.700 0.250

---

No. 9
Entry from the Materials Project: Ba3Tm after structural relaxation (GGA-PBE).

Calculated values
E above lowest polymorph = 0.0 meV per atom
Calculated formation energy = 0.24 eV/atom
VASP energy = -0.171 Ry per atom

a b c (Å): 8.341 8.341 6.729
angles (deg): 90.00 90.00 120.00
Fractional positions:
Ba 0.171 0.343 0.250
Ba 0.171 0.829 0.250
Ba 0.343 0.171 0.750
Ba 0.657 0.829 0.250
Ba 0.829 0.171 0.750
Ba 0.829 0.657 0.750
Tm 0.333 0.667 0.750
Tm 0.667 0.333 0.250

---

No. 10
Entry from the Materials Project: Ba3Tm after structural relaxation (GGA-PBE).

Calculated values
E above lowest polymorph = 19.3 meV per atom
Calculated formation energy = 0.26 eV/atom
VASP energy = -0.169 Ry per atom

a b c (Å): 7.278 7.278 7.278
angles (deg): 132.64 132.64 69.23
Fractional positions:
Ba 0.000 0.000 0.000
Ba 0.250 0.750 0.500
Ba 0.750 0.250 0.500
Tm 0.500 0.500 0.000

---

No. 11
Entry from the Materials Project: Ba2Y after structural relaxation (GGA-PBE).

Calculated values
Calculated formation energy = 0.31 eV/atom
VASP energy = -0.230 Ry per atom

a b c (Å): 16.955 16.955 16.955
angles (deg): 165.22 165.22 20.96
Fractional positions:
Ba 0.000 0.000 0.000
Ba 0.124 0.124 0.000
Ba 0.264 0.264 0.000
Ba 0.401 0.401 0.000
Y 0.699 0.699 0.000
Y 0.828 0.828 0.000

---

No. 12
Entry from the Materials Project: BaZn2 after structural relaxation (GGA-PBE).

Calculated values
Calculated formation energy = -0.20 eV/atom
VASP energy = -0.123 Ry per atom

a b c (Å): 6.200 6.200 6.200
angles (deg): 131.98 97.81 101.26
Fractional positions:
Ba 0.307 0.057 0.250
Ba 0.693 0.943 0.750
Zn 0.083 0.660 0.422
Zn 0.262 0.340 0.922
Zn 0.738 0.660 0.078
Zn 0.917 0.340 0.578

---

No. 13
Entry from the Materials Project: Ba2Zn after structural relaxation (GGA-PBE).

Calculated values
Calculated formation energy = -0.14 eV/atom
VASP energy = -0.136 Ry per atom

a b c (Å): 8.115 8.115 8.115
angles (deg): 150.14 150.14 42.74
Fractional positions:
Ba 0.129 0.129 0.000
Ba 0.871 0.871 0.000
Zn 0.500 0.500 0.000

---

No. 14
Entry from the Materials Project: Be after structural relaxation (GGA-PBE).

Calculated values
E above lowest polymorph = 50.5 meV per atom
Calculated formation energy = 0.05 eV/atom
VASP energy = -0.271 Ry per atom

a b c (Å): 3.747 3.747 2.281
angles (deg): 90.00 90.00 90.00
Fractional positions:
Be 0.203 0.203 0.000
Be 0.297 0.703 0.500
Be 0.703 0.297 0.500
Be 0.797 0.797 0.000

---

No. 15
Entry from the Materials Project: Be after structural relaxation (GGA-PBE).

Calculated values
E above lowest polymorph = 95.7 meV per atom
Calculated formation energy = 0.10 eV/atom
VASP energy = -0.268 Ry per atom

a b c (Å): 2.165 2.165 2.165
angles (deg): 109.47 109.47 109.47
Fractional positions:
Be 0.000 0.000 0.000

---

No. 16
Entry from the Materials Project: Be after structural relaxation (GGA-PBE).

Calculated values
E above lowest polymorph = 0.0 meV per atom
Calculated formation energy = 0.00 eV/atom
VASP energy = -0.275 Ry per atom

a b c (Å): 2.260 2.260 3.570
angles (deg): 90.00 90.00 120.00
Fractional positions:
Be 0.333 0.667 0.250
Be 0.667 0.333 0.750

---

No. 17
Entry from the Materials Project: BeInBi after structural relaxation (GGA-PBE).

Calculated values
Calculated formation energy = 0.71 eV/atom
VASP energy = -0.202 Ry per atom

a b c (Å): 4.963 4.963 4.963
angles (deg): 60.00 60.00 60.00
Fractional positions:
Be 0.000 0.000 0.000
In 0.500 0.500 0.500
Bi 0.250 0.250 0.250

---

No. 18
Entry from the Materials Project: BeBi12O20 after structural relaxation (GGA-PBE).

Calculated values
Calculated formation energy = -1.62 eV/atom
VASP energy = -0.421 Ry per atom

a b c (Å): 8.760 8.760 8.760
angles (deg): 109.47 109.47 109.47
Fractional positions:
Be 0.000 0.000 0.000
Bi 0.141 0.837 0.324
Bi 0.163 0.304 0.487
Bi 0.183 0.696 0.859
Bi 0.304 0.487 0.163
Bi 0.324 0.141 0.837
Bi 0.487 0.163 0.304
Bi 0.513 0.817 0.676
Bi 0.676 0.513 0.817
Bi 0.696 0.859 0.183
Bi 0.817 0.676 0.513
Bi 0.837 0.324 0.141
Bi 0.859 0.183 0.696
O 0.000 0.000 0.400
O 0.000 0.000 0.805
O 0.000 0.400 0.000
O 0.000 0.805 0.000
O 0.121 0.360 0.740
O 0.195 0.195 0.195
O 0.239 0.879 0.619
O 0.260 0.620 0.381
O 0.360 0.740 0.121
O 0.380 0.640 0.761
O 0.381 0.260 0.620
O 0.400 0.000 0.000
O 0.600 0.600 0.600
O 0.619 0.239 0.879
O 0.620 0.381 0.260
O 0.640 0.761 0.380
O 0.740 0.121 0.360
O 0.761 0.380 0.640
O 0.805 0.000 0.000
O 0.879 0.619 0.239

---

No. 19
Entry from the Materials Project: BeBiOs2 after structural relaxation (GGA-PBE).

Calculated values
Calculated formation energy = 0.97 eV/atom
VASP energy = -0.481 Ry per atom

a b c (Å): 4.507 4.507 4.507
angles (deg): 60.00 60.00 60.00
Fractional positions:
Be 0.000 0.000 0.000
Bi 0.750 0.750 0.750
Os 0.250 0.250 0.250
Os 0.500 0.500 0.500

---

No. 20
Entry from the Materials Project: Li4Be3P3BrO12 after structural relaxation (GGA-PBE).

Calculated values
Calculated formation energy = -2.82 eV/atom
VASP energy = -0.488 Ry per atom

a b c (Å): 8.172 8.172 8.172
angles (deg): 90.00 90.00 90.00
Fractional positions:
Li 0.183 0.183 0.183
Li 0.183 0.817 0.817
Li 0.317 0.317 0.683
Li 0.317 0.683 0.317
Li 0.683 0.317 0.317
Li 0.683 0.683 0.683
Li 0.817 0.183 0.817
Li 0.817 0.817 0.183
Be 0.000 0.250 0.500
Be 0.000 0.750 0.500
Be 0.250 0.500 0.000
Be 0.500 0.000 0.250
Be 0.500 0.000 0.750
Be 0.750 0.500 0.000
P 0.000 0.500 0.250
P 0.000 0.500 0.750
P 0.250 0.000 0.500
P 0.500 0.250 0.000
P 0.500 0.750 0.000
P 0.750 0.000 0.500
Br 0.000 0.000 0.000
Br 0.500 0.500 0.500
O 0.079 0.363 0.645
O 0.079 0.637 0.355
O 0.137 0.421 0.145
O 0.137 0.579 0.855
O 0.145 0.137 0.421
O 0.145 0.863 0.579
O 0.355 0.079 0.637
O 0.355 0.921 0.363
O 0.363 0.355 0.921
O 0.363 0.645 0.079
O 0.421 0.145 0.137
O 0.421 0.855 0.863
O 0.579 0.145 0.863
O 0.579 0.855 0.137
O 0.637 0.355 0.079
O 0.637 0.645 0.921
O 0.645 0.079 0.363
O 0.645 0.921 0.637
O 0.855 0.137 0.579
O 0.855 0.863 0.421
O 0.863 0.421 0.855
O 0.863 0.579 0.145
O 0.921 0.363 0.355
O 0.921 0.637 0.645